No. 1
The following is a PBE-GGA calculation of BaAg2Ge2 after structural relaxation, from the Materials Project.

```
data_BaAg2Ge2
_space_group_name_H-M_alt 'P 1'
_space_group_IT_number 1
_cell_length_a 4.667
_cell_length_b 4.667
_cell_length_c 6.373
_cell_angle_alpha 111.48
_cell_angle_beta 111.48
_cell_angle_gamma 90.00
loop_
_space_group_symop_operation_xyz
'x,y,z'
loop_
_atom_site_label
_atom_site_fract_x
_atom_site_fract_y
_atom_site_fract_z
Ge1 0.383 0.383 0.765
Ge2 0.617 0.617 0.235
Ag1 0.750 0.250 0.500
Ba1 0.000 0.000 0.000
Ag2 0.250 0.750 0.500
```

crystal system: tetragonal
energy of formation: -0.34 eV per atom

---

No. 2
The following is a PBE-GGA calculation of Ba4Ag3Ge20 after structural relaxation, from the Materials Project.

```
data_Ba4Ag3Ge20
_space_group_name_H-M_alt 'P 1'
_space_group_IT_number 1
_cell_length_a 11.020
_cell_length_b 11.020
_cell_length_c 11.020
_cell_angle_alpha 90.00
_cell_angle_beta 90.00
_cell_angle_gamma 90.00
loop_
_space_group_symop_operation_xyz
'x,y,z'
loop_
_atom_site_label
_atom_site_fract_x
_atom_site_fract_y
_atom_site_fract_z
Ge1 0.885 0.000 0.307
Ba1 0.000 0.250 0.500
Ge2 0.000 0.307 0.115
Ge3 0.693 0.885 0.000
Ge4 0.317 0.683 0.683
Ba2 0.000 0.000 0.000
Ag1 0.500 0.750 0.000
Ge5 0.500 0.615 0.193
Ge6 0.807 0.500 0.615
Ba3 0.000 0.750 0.500
Ge7 0.500 0.385 0.193
Ba4 0.250 0.500 0.000
Ag2 0.000 0.500 0.250
Ag3 0.250 0.000 0.500
Ge8 0.000 0.307 0.885
Ba5 0.500 0.000 0.250
Ge9 0.307 0.885 0.000
Ge10 0.817 0.183 0.817
Ge11 0.500 0.385 0.807
Ge12 0.193 0.500 0.615
Ge13 0.885 0.000 0.693
Ag4 0.750 0.000 0.500
Ge14 0.683 0.317 0.683
Ge15 0.807 0.500 0.385
Ge16 0.317 0.317 0.317
Ge17 0.615 0.807 0.500
Ge18 0.683 0.683 0.317
Ge19 0.000 0.693 0.115
Ba6 0.750 0.500 0.000
Ge20 0.307 0.115 0.000
Ge21 0.193 0.500 0.385
Ge22 0.817 0.817 0.183
Ge23 0.693 0.115 0.000
Ge24 0.317 0.317 0.683
Ge25 0.183 0.817 0.183
Ge26 0.615 0.193 0.500
Ba7 0.500 0.000 0.750
Ge27 0.183 0.183 0.183
Ag5 0.500 0.250 0.000
Ge28 0.683 0.683 0.683
Ge29 0.817 0.183 0.183
Ge30 0.385 0.807 0.500
Ge31 0.183 0.817 0.817
Ge32 0.115 0.000 0.307
Ba8 0.500 0.500 0.500
Ge33 0.500 0.615 0.807
Ge34 0.385 0.193 0.500
Ge35 0.115 0.000 0.693
Ge36 0.000 0.693 0.885
Ge37 0.317 0.683 0.317
Ge38 0.683 0.317 0.317
Ag6 0.000 0.500 0.750
Ge39 0.183 0.183 0.817
Ge40 0.817 0.817 0.817
```

crystal system: cubic
energy of formation: -0.26 eV per atom

---

No. 3
The following is a PBE-GGA calculation of BaAg2GeS4 after structural relaxation, from the Materials Project.

```
data_BaAg2GeS4
_space_group_name_H-M_alt 'P 1'
_space_group_IT_number 1
_cell_length_a 6.386
_cell_length_b 6.386
_cell_length_c 6.386
_cell_angle_alpha 115.00
_cell_angle_beta 115.00
_cell_angle_gamma 98.91
loop_
_space_group_symop_operation_xyz
'x,y,z'
loop_
_atom_site_label
_atom_site_fract_x
_atom_site_fract_y
_atom_site_fract_z
Ag1 0.750 0.250 0.500
Ba1 0.000 0.000 0.000
Ge1 0.500 0.500 0.000
S1 0.844 0.467 0.000
S2 0.156 0.156 0.622
S3 0.533 0.533 0.378
Ag2 0.250 0.750 0.500
S4 0.467 0.844 0.000
```

crystal system: tetragonal
maximum piezoelectric response: 0.09 C/m2
energy of formation: -1.02 eV per atom

---

No. 4
The following is a PBE-GGA calculation of Ba4InAgS6 after structural relaxation, from the Materials Project.

```
data_Ba4InAgS6
_space_group_name_H-M_alt 'P 1'
_space_group_IT_number 1
_cell_length_a 9.005
_cell_length_b 8.833
_cell_length_c 18.002
_cell_angle_alpha 76.06
_cell_angle_beta 90.00
_cell_angle_gamma 90.00
loop_
_space_group_symop_operation_xyz
'x,y,z'
loop_
_atom_site_label
_atom_site_fract_x
_atom_site_fract_y
_atom_site_fract_z
Ba1 0.420 0.217 0.286
In1 0.381 0.444 0.868
S1 0.014 0.336 0.597
Ba2 0.766 0.390 0.960
S2 0.614 0.095 0.570
S3 0.386 0.905 0.430
S4 0.986 0.664 0.403
S5 0.010 0.815 0.598
S6 0.320 0.512 0.729
Ag1 0.128 0.938 0.366
Ba3 0.923 0.254 0.215
S7 0.371 0.410 0.426
S8 0.510 0.185 0.902
S9 0.114 0.905 0.930
Ba4 0.758 0.903 0.959
Ag2 0.872 0.062 0.634
Ba5 0.734 0.390 0.460
S10 0.486 0.336 0.097
In2 0.619 0.556 0.132
Ag3 0.372 0.938 0.866
Ba6 0.077 0.746 0.785
S11 0.490 0.815 0.098
S12 0.180 0.512 0.229
Ba7 0.234 0.610 0.040
Ba8 0.423 0.746 0.285
Ba9 0.080 0.217 0.786
In3 0.881 0.556 0.632
S13 0.312 0.013 0.721
Ba10 0.266 0.610 0.540
S14 0.990 0.185 0.402
S15 0.129 0.410 0.926
S16 0.688 0.987 0.279
S17 0.680 0.488 0.271
Ag4 0.628 0.062 0.134
Ba11 0.242 0.097 0.041
In4 0.119 0.444 0.368
S18 0.188 0.013 0.221
S19 0.629 0.590 0.574
S20 0.514 0.664 0.903
Ba12 0.577 0.254 0.715
Ba13 0.742 0.903 0.459
S21 0.820 0.488 0.771
S22 0.812 0.987 0.779
S23 0.886 0.095 0.070
S24 0.871 0.590 0.074
Ba14 0.258 0.097 0.541
Ba15 0.920 0.783 0.214
Ba16 0.580 0.783 0.714
```

crystal system: monoclinic
energy of formation: -1.80 eV per atom

---

No. 5
The following is a PBE-GGA calculation of BaAgO2 after structural relaxation, from the Materials Project.

```
data_BaAgO2
_space_group_name_H-M_alt 'P 1'
_space_group_IT_number 1
_cell_length_a 4.334
_cell_length_b 4.334
_cell_length_c 3.736
_cell_angle_alpha 90.00
_cell_angle_beta 90.00
_cell_angle_gamma 90.00
loop_
_space_group_symop_operation_xyz
'x,y,z'
loop_
_atom_site_label
_atom_site_fract_x
_atom_site_fract_y
_atom_site_fract_z
O1 0.000 0.500 0.000
Ag1 0.000 0.000 0.000
Ba1 0.500 0.500 0.500
O2 0.500 0.000 0.000
```

crystal system: tetragonal
energy of formation: -1.75 eV per atom

---

No. 6
The following is a PBE-GGA calculation of BaAgO2 after structural relaxation, from the Materials Project.

```
data_BaAgO2
_space_group_name_H-M_alt 'P 1'
_space_group_IT_number 1
_cell_length_a 9.019
_cell_length_b 9.019
_cell_length_c 4.402
_cell_angle_alpha 90.00
_cell_angle_beta 90.00
_cell_angle_gamma 154.81
loop_
_space_group_symop_operation_xyz
'x,y,z'
loop_
_atom_site_label
_atom_site_fract_x
_atom_site_fract_y
_atom_site_fract_z
Ag1 0.937 0.063 0.750
O1 0.183 0.817 0.250
Ag2 0.063 0.937 0.250
O2 0.941 0.059 0.250
Ba1 0.332 0.668 0.250
O3 0.817 0.183 0.750
O4 0.059 0.941 0.750
Ba2 0.668 0.332 0.750
```

crystal system: orthorhombic
energy of formation: -1.73 eV per atom